Entry 1:
Density functional theory data (GGA-PBE) for a geometry-optimized LiAlSi4O10 structure.

Calculated values
energy of formation	-3.2423	eV per atom
calculated volume	13.8	Å³/atom
MP2020-corrected energy	-8.0445	eV/atom
space group	Pc, No. 7
total magnetic moment	0.00	Bohr magnetons per cell
VASP energy	-243.68	eV per cell

```
data_LiAlSi4O10
_cell_length_a 5.208
_cell_length_b 7.736
_cell_length_c 11.898
_cell_angle_alpha 67.16
_cell_angle_beta 90.00
_cell_angle_gamma 90.00
_symmetry_space_group_name_H-M 'P 1'
_symmetry_Int_Tables_number 1
loop_
_symmetry_equiv_pos_as_xyz
'x,y,z'
loop_
_atom_site_label
_atom_site_type_symbol
_atom_site_fract_x
_atom_site_fract_y
_atom_site_fract_z
Si1 Si 0.515 0.712 0.495
O1 O 0.801 0.261 0.960
O2 O 0.026 0.862 0.207
O3 O 0.199 0.261 0.460
O4 O 0.978 0.497 0.746
O5 O 0.802 0.746 0.537
Si2 Si 0.485 0.712 0.995
O6 O 0.699 0.262 0.408
O7 O 0.467 0.138 0.138
Si3 Si 0.010 0.288 0.852
O8 O 0.198 0.746 0.037
Li1 Li 0.251 0.000 0.750
Si4 Si 0.988 0.709 0.146
O9 O 0.533 0.138 0.638
O10 O 0.508 0.504 0.494
O11 O 0.469 0.870 0.359
O12 O 0.492 0.504 0.994
Si5 Si 0.489 0.291 0.500
O13 O 0.697 0.732 0.091
Li2 Li 0.749 0.000 0.250
O14 O 0.027 0.130 0.295
Si6 Si 0.990 0.288 0.352
O15 O 0.974 0.862 0.707
O16 O 0.303 0.732 0.591
O17 O 0.973 0.130 0.795
Si7 Si 0.511 0.291 0.000
Si8 Si 0.012 0.709 0.646
O18 O 0.022 0.497 0.246
O19 O 0.531 0.870 0.859
Al1 Al 0.753 0.000 0.748
Al2 Al 0.247 0.000 0.248
O20 O 0.301 0.262 0.908
```



Entry 2:
Density functional theory data (GGA-PBE) for a geometry-optimized LiAlSi2O7 structure.

Calculated values
energy of formation	-2.6387	eV per atom
calculated volume	14.2	Å³/atom
MP2020-corrected energy	-7.2879	eV/atom
space group	P1, No. 1
total magnetic moment	2.00	Bohr magnetons per cell
VASP energy	-158.08	eV per cell

```
data_LiAlSi2O7
_cell_length_a 5.066
_cell_length_b 7.687
_cell_length_c 8.770
_cell_angle_alpha 114.04
_cell_angle_beta 90.55
_cell_angle_gamma 89.90
_symmetry_space_group_name_H-M 'P 1'
_symmetry_Int_Tables_number 1
loop_
_symmetry_equiv_pos_as_xyz
'x,y,z'
loop_
_atom_site_label
_atom_site_type_symbol
_atom_site_fract_x
_atom_site_fract_y
_atom_site_fract_z
O1 O 0.442 0.473 0.457
O2 O 0.891 0.694 0.269
O3 O 0.221 0.969 0.726
Si1 Si 0.814 0.508 0.106
Li1 Li 0.347 0.122 0.292
O4 O 0.674 0.975 0.926
O5 O 0.171 0.041 0.450
O6 O 0.031 0.450 0.957
Al1 Al 0.334 0.911 0.893
O7 O 0.276 0.671 0.833
Li2 Li 0.845 0.929 0.717
O8 O 0.387 0.302 0.724
O9 O 0.153 0.048 0.078
Si2 Si 0.836 0.098 0.101
Al2 Al 0.855 0.938 0.378
Si3 Si 0.307 0.495 0.887
Si4 Si 0.355 0.074 0.615
O10 O 0.718 0.051 0.254
O11 O 0.786 0.325 0.156
O12 O 0.651 0.987 0.555
O13 O 0.532 0.543 0.032
O14 O 0.630 0.571 0.534
```



Entry 3:
Density functional theory data (GGA-PBE) for a geometry-optimized Li2Al2SiO6 structure.

Calculated values
energy of formation	-3.1418	eV per atom
calculated volume	12.9	Å³/atom
MP2020-corrected energy	-7.3620	eV/atom
space group	C222, No. 21
total magnetic moment	0.00	Bohr magnetons per cell
VASP energy	-76.86	eV per cell

```
data_Li2Al2SiO6
_cell_length_a 5.316
_cell_length_b 5.316
_cell_length_c 5.785
_cell_angle_alpha 90.00
_cell_angle_beta 90.00
_cell_angle_gamma 59.93
_symmetry_space_group_name_H-M 'P 1'
_symmetry_Int_Tables_number 1
loop_
_symmetry_equiv_pos_as_xyz
'x,y,z'
loop_
_atom_site_label
_atom_site_type_symbol
_atom_site_fract_x
_atom_site_fract_y
_atom_site_fract_z
O1 O 0.824 0.824 0.833
O2 O 0.176 0.176 0.833
Li1 Li 0.000 0.000 0.616
O3 O 0.785 0.409 0.171
O4 O 0.409 0.785 0.495
Al1 Al 0.500 0.000 0.671
Si1 Si 0.500 0.500 0.333
O5 O 0.591 0.215 0.495
Li2 Li 0.000 0.000 0.050
O6 O 0.215 0.591 0.171
Al2 Al 0.000 0.500 0.996
```



Entry 4:
Density functional theory data (GGA-PBE) for a geometry-optimized LiAlSi3O8 structure.

Calculated values
energy of formation	-3.2116	eV per atom
calculated volume	12.2	Å³/atom
MP2020-corrected energy	-7.9434	eV/atom
space group	P-1, No. 2
total magnetic moment	0.00	Bohr magnetons per cell
VASP energy	-195.54	eV per cell

```
data_LiAlSi3O8
_cell_length_a 7.130
_cell_length_b 7.337
_cell_length_c 7.605
_cell_angle_alpha 115.87
_cell_angle_beta 110.06
_cell_angle_gamma 97.30
_symmetry_space_group_name_H-M 'P 1'
_symmetry_Int_Tables_number 1
loop_
_symmetry_equiv_pos_as_xyz
'x,y,z'
loop_
_atom_site_label
_atom_site_type_symbol
_atom_site_fract_x
_atom_site_fract_y
_atom_site_fract_z
O1 O 0.946 0.872 0.115
Si1 Si 0.291 0.573 0.779
Al1 Al 0.200 0.852 0.162
O2 O 0.630 0.877 0.688
Si2 Si 0.756 0.817 0.173
O3 O 0.202 0.323 0.708
Li1 Li 0.850 0.722 0.751
Si3 Si 0.244 0.183 0.827
O4 O 0.711 0.285 0.704
O5 O 0.370 0.123 0.312
Li2 Li 0.150 0.278 0.249
O6 O 0.839 0.287 0.113
O7 O 0.289 0.715 0.296
O8 O 0.273 0.967 0.666
O9 O 0.542 0.677 0.944
Si4 Si 0.709 0.427 0.221
O10 O 0.798 0.677 0.292
O11 O 0.727 0.033 0.334
Si5 Si 0.628 0.213 0.450
O12 O 0.161 0.713 0.887
O13 O 0.727 0.431 0.447
O14 O 0.273 0.569 0.553
Al2 Al 0.800 0.148 0.838
Si6 Si 0.372 0.787 0.550
O15 O 0.458 0.323 0.056
O16 O 0.054 0.128 0.885
```



Entry 5:
Density functional theory data (GGA-PBE) for a geometry-optimized LiAlSi4O10 structure.

Calculated values
energy of formation	-3.2438	eV per atom
calculated volume	13.9	Å³/atom
MP2020-corrected energy	-8.0460	eV/atom
space group	P2/c, No. 13
total magnetic moment	0.00	Bohr magnetons per cell
VASP energy	-243.73	eV per cell

```
data_LiAlSi4O10
_cell_length_a 5.228
_cell_length_b 7.734
_cell_length_c 11.948
_cell_angle_alpha 66.87
_cell_angle_beta 90.00
_cell_angle_gamma 90.00
_symmetry_space_group_name_H-M 'P 1'
_symmetry_Int_Tables_number 1
loop_
_symmetry_equiv_pos_as_xyz
'x,y,z'
loop_
_atom_site_label
_atom_site_type_symbol
_atom_site_fract_x
_atom_site_fract_y
_atom_site_fract_z
O1 O 0.043 0.000 0.250
Li1 Li 0.257 0.500 0.750
Si1 Si 0.001 0.210 0.648
O2 O 0.957 0.000 0.750
Al1 Al 0.242 0.500 0.250
O3 O 0.287 0.228 0.591
O4 O 0.538 0.634 0.639
O5 O 0.978 0.635 0.792
O6 O 0.022 0.635 0.292
O7 O 0.787 0.749 0.959
O8 O 0.538 0.366 0.861
O9 O 0.713 0.772 0.409
O10 O 0.213 0.251 0.041
O11 O 0.787 0.251 0.541
O12 O 0.287 0.772 0.909
Si2 Si 0.001 0.790 0.852
Li2 Li 0.743 0.500 0.250
O13 O 0.500 0.000 0.500
Si3 Si 0.505 0.789 0.002
Si4 Si 0.999 0.210 0.148
O14 O 0.213 0.749 0.459
Si5 Si 0.505 0.211 0.498
Al2 Al 0.758 0.500 0.750
O15 O 0.462 0.366 0.361
O16 O 0.713 0.228 0.091
Si6 Si 0.495 0.789 0.502
O17 O 0.462 0.634 0.139
Si7 Si 0.999 0.790 0.352
O18 O 0.978 0.365 0.708
Si8 Si 0.495 0.211 0.998
O19 O 0.500 0.000 0.000
O20 O 0.022 0.365 0.208
```



Entry 6:
Density functional theory data (GGA-PBE) for a geometry-optimized LiAlSi2O7 structure.

Calculated values
energy of formation	-2.7336	eV per atom
calculated volume	13.9	Å³/atom
MP2020-corrected energy	-7.3828	eV/atom
space group	P1, No. 1
total magnetic moment	4.00	Bohr magnetons per cell
VASP energy	-152.80	eV per cell

```
data_LiAlSi2O7
_cell_length_a 5.002
_cell_length_b 7.729
_cell_length_c 8.698
_cell_angle_alpha 114.31
_cell_angle_beta 90.05
_cell_angle_gamma 90.14
_symmetry_space_group_name_H-M 'P 1'
_symmetry_Int_Tables_number 1
loop_
_symmetry_equiv_pos_as_xyz
'x,y,z'
loop_
_atom_site_label
_atom_site_type_symbol
_atom_site_fract_x
_atom_site_fract_y
_atom_site_fract_z
O1 O 0.665 0.751 0.368
O2 O 0.010 0.984 0.832
O3 O 0.094 0.456 0.496
O4 O 0.453 0.000 0.011
O5 O 0.265 0.584 0.158
Si1 Si 0.076 0.539 0.992
O6 O 0.764 0.529 0.046
O7 O 0.513 0.085 0.365
O8 O 0.096 0.718 0.937
Al1 Al 0.145 0.106 0.716
Si2 Si 0.574 0.559 0.208
O9 O 0.594 0.380 0.258
Al2 Al 0.635 0.137 0.197
Li1 Li 0.139 0.163 0.392
O10 O 0.948 0.063 0.535
O11 O 0.467 0.013 0.645
O12 O 0.161 0.349 0.837
Si3 Si 0.645 0.980 0.477
O13 O 0.592 0.605 0.683
O14 O 0.976 0.071 0.165
Si4 Si 0.135 0.945 0.989
Li2 Li 0.637 0.901 0.788
```



Entry 7:
Density functional theory data (GGA-PBE) for a geometry-optimized LiAlSiO5 structure.

Calculated values
energy of formation	-2.5382	eV per atom
calculated volume	13.7	Å³/atom
MP2020-corrected energy	-7.0157	eV/atom
space group	Pna2_1, No. 33
total magnetic moment	8.00	Bohr magnetons per cell
VASP energy	-210.76	eV per cell

```
data_LiAlSiO5
_cell_length_a 5.047
_cell_length_b 8.270
_cell_length_c 10.471
_cell_angle_alpha 90.00
_cell_angle_beta 90.00
_cell_angle_gamma 90.00
_symmetry_space_group_name_H-M 'P 1'
_symmetry_Int_Tables_number 1
loop_
_symmetry_equiv_pos_as_xyz
'x,y,z'
loop_
_atom_site_label
_atom_site_type_symbol
_atom_site_fract_x
_atom_site_fract_y
_atom_site_fract_z
O1 O 0.866 0.720 0.774
O2 O 0.933 0.399 0.677
Si1 Si 0.250 0.126 0.145
Al1 Al 0.750 0.582 0.660
Al2 Al 0.750 0.918 0.160
Li1 Li 0.245 0.811 0.311
Si2 Si 0.750 0.626 0.355
Al3 Al 0.250 0.418 0.340
O3 O 0.411 0.962 0.190
Li2 Li 0.245 0.689 0.811
O4 O 0.801 0.842 0.006
O5 O 0.366 0.220 0.726
O6 O 0.866 0.780 0.274
Al4 Al 0.250 0.082 0.840
O7 O 0.933 0.101 0.177
O8 O 0.366 0.280 0.226
Li3 Li 0.745 0.189 0.689
O9 O 0.737 0.411 0.010
Si3 Si 0.750 0.874 0.855
O10 O 0.911 0.462 0.310
O11 O 0.301 0.158 0.994
O12 O 0.433 0.899 0.823
O13 O 0.433 0.601 0.323
O14 O 0.911 0.038 0.810
O15 O 0.237 0.589 0.990
O16 O 0.301 0.342 0.494
O17 O 0.411 0.538 0.690
O18 O 0.737 0.089 0.510
Li4 Li 0.745 0.311 0.189
O19 O 0.237 0.911 0.490
O20 O 0.801 0.658 0.506
Si4 Si 0.250 0.374 0.645
```



Entry 8:
Density functional theory data (GGA-PBE) for a geometry-optimized Li2Al2Si4O13 structure.

Calculated values
energy of formation	-2.9543	eV per atom
calculated volume	14.6	Å³/atom
MP2020-corrected energy	-7.5892	eV/atom
space group	P1, No. 1
total magnetic moment	2.00	Bohr magnetons per cell
VASP energy	-150.44	eV per cell

```
data_Li2Al2Si4O13
_cell_length_a 5.034
_cell_length_b 7.710
_cell_length_c 8.685
_cell_angle_alpha 65.82
_cell_angle_beta 89.50
_cell_angle_gamma 89.17
_symmetry_space_group_name_H-M 'P 1'
_symmetry_Int_Tables_number 1
loop_
_symmetry_equiv_pos_as_xyz
'x,y,z'
loop_
_atom_site_label
_atom_site_type_symbol
_atom_site_fract_x
_atom_site_fract_y
_atom_site_fract_z
O1 O 0.734 0.587 0.401
Si1 Si 0.132 0.915 0.091
O2 O 0.255 0.955 0.247
Al1 Al 0.121 0.071 0.370
O3 O 0.169 0.686 0.143
O4 O 0.594 0.715 0.724
Li1 Li 0.124 0.119 0.693
Si2 Si 0.680 0.515 0.879
Si3 Si 0.622 0.941 0.609
O5 O 0.481 0.474 0.040
O6 O 0.981 0.536 0.938
O7 O 0.323 0.028 0.549
Al2 Al 0.631 0.105 0.883
Li2 Li 0.630 0.878 0.289
O8 O 0.291 0.039 0.915
O9 O 0.095 0.316 0.263
O10 O 0.669 0.347 0.814
Si4 Si 0.177 0.498 0.098
O11 O 0.757 0.048 0.717
O12 O 0.815 0.972 0.069
O13 O 0.804 0.970 0.443
```



Entry 9:
Density functional theory data (GGA-PBE) for a geometry-optimized SrLiAlO3 structure.

Calculated values
energy of formation	-2.9444	eV per atom
calculated volume	11.0	Å³/atom
MP2020-corrected energy	-6.6423	eV/atom
space group	Cm, No. 8
total magnetic moment	0.00	Bohr magnetons per cell
VASP energy	-37.79	eV per cell

```
data_SrLiAlO3
_cell_length_a 3.700
_cell_length_b 5.203
_cell_length_c 3.700
_cell_angle_alpha 74.91
_cell_angle_beta 90.23
_cell_angle_gamma 74.91
_symmetry_space_group_name_H-M 'P 1'
_symmetry_Int_Tables_number 1
loop_
_symmetry_equiv_pos_as_xyz
'x,y,z'
loop_
_atom_site_label
_atom_site_type_symbol
_atom_site_fract_x
_atom_site_fract_y
_atom_site_fract_z
O1 O 0.405 0.943 0.405
Li1 Li 0.179 0.329 0.179
O2 O 0.596 0.494 0.083
Sr1 Sr 0.917 0.919 0.917
O3 O 0.083 0.494 0.596
Al1 Al 0.553 0.572 0.553
```



Entry 10:
Density functional theory data (GGA-PBE) for a geometry-optimized SrLiAlO3 structure.

Calculated values
energy of formation	-2.7193	eV per atom
calculated volume	11.4	Å³/atom
MP2020-corrected energy	-6.4173	eV/atom
space group	P4/mmm, No. 123
total magnetic moment	0.00	Bohr magnetons per cell
VASP energy	-36.44	eV per cell

```
data_SrLiAlO3
_cell_length_a 3.691
_cell_length_b 5.012
_cell_length_c 3.691
_cell_angle_alpha 90.00
_cell_angle_beta 90.00
_cell_angle_gamma 90.00
_symmetry_space_group_name_H-M 'P 1'
_symmetry_Int_Tables_number 1
loop_
_symmetry_equiv_pos_as_xyz
'x,y,z'
loop_
_atom_site_label
_atom_site_type_symbol
_atom_site_fract_x
_atom_site_fract_y
_atom_site_fract_z
O1 O 0.000 0.500 0.500
O2 O 0.500 0.000 0.500
Sr1 Sr 0.000 0.000 0.000
O3 O 0.500 0.500 0.000
Li1 Li 0.000 0.500 0.000
Al1 Al 0.500 0.500 0.500
```



Entry 11:
Density functional theory data (GGA-PBE) for a geometry-optimized LiTiAlO4 structure.

Calculated values
energy of formation	-3.2272	eV per atom
calculated volume	10.1	Å³/atom
MP2020-corrected energy	-7.9903	eV/atom
space group	Imma, No. 74
total magnetic moment	0.00	Bohr magnetons per cell
VASP energy	-106.37	eV per cell

```
data_LiTiAlO4
_cell_length_a 5.851
_cell_length_b 5.851
_cell_length_c 5.851
_cell_angle_alpha 120.94
_cell_angle_beta 119.11
_cell_angle_gamma 89.97
_symmetry_space_group_name_H-M 'P 1'
_symmetry_Int_Tables_number 1
loop_
_symmetry_equiv_pos_as_xyz
'x,y,z'
loop_
_atom_site_label
_atom_site_type_symbol
_atom_site_fract_x
_atom_site_fract_y
_atom_site_fract_z
Li1 Li 0.121 0.871 0.250
Al1 Al 0.500 0.500 0.500
O1 O 0.737 0.716 0.479
O2 O 0.737 0.258 0.021
O3 O 0.263 0.742 0.979
O4 O 0.263 0.284 0.521
Li2 Li 0.879 0.129 0.750
O5 O 0.705 0.738 0.967
O6 O 0.729 0.262 0.467
Al2 Al 0.500 0.000 0.000
Ti1 Ti 0.500 0.500 0.000
Ti2 Ti 0.000 0.500 0.500
O7 O 0.295 0.262 0.033
O8 O 0.271 0.738 0.533
```



Entry 12:
Density functional theory data (GGA-PBE) for a geometry-optimized LiAl2Os structure.

Calculated values
energy of formation	-0.3992	eV per atom
calculated volume	13.8	Å³/atom
space group	Fm-3m, No. 225
total magnetic moment	0.00	Bohr magnetons per cell
VASP energy	-22.22	eV per cell

```
data_LiAl2Os
_cell_length_a 4.277
_cell_length_b 4.277
_cell_length_c 4.277
_cell_angle_alpha 60.00
_cell_angle_beta 60.00
_cell_angle_gamma 60.00
_symmetry_space_group_name_H-M 'P 1'
_symmetry_Int_Tables_number 1
loop_
_symmetry_equiv_pos_as_xyz
'x,y,z'
loop_
_atom_site_label
_atom_site_type_symbol
_atom_site_fract_x
_atom_site_fract_y
_atom_site_fract_z
Os1 Os 0.000 0.000 0.000
Al1 Al 0.250 0.250 0.250
Al2 Al 0.750 0.750 0.750
Li1 Li 0.500 0.500 0.500
```



Among the records above, which one has the lowest calculated volume?
LiTiAlO4